(1)
This record from the Materials Project describes a relaxed structure of PrNi2Sn2. The functional is PBE.

E = -5.36 eV per atom
SG = I4/mmm, No. 139

abc: 6.1347 6.1347 6.1347
angles: 137.61 137.61 61.51
Sites, in units of the cell vectors:
Pr  0.0000  0.0000  0.0000
Ni  0.2500  0.7500  0.5000
Ni  0.7500  0.2500  0.5000
Sn  0.3640  0.3640  0.0000
Sn  0.6360  0.6360  0.0000

(2)
This record from the Materials Project describes a relaxed structure of NaBiS2. The functional is PBE.

E = -4.09 eV per atom
SG = I4_1/amd, No. 141

abc: 7.1506 7.1506 7.1506
angles: 133.11 133.11 68.48
Sites, in units of the cell vectors:
Na  0.0000  0.0000  0.0000
Na  0.7500  0.2500  0.5000
Bi  0.2500  0.7500  0.5000
Bi  0.5000  0.5000  0.0000
S  0.4894  0.9894  0.5000
S  0.0106  0.5106  0.5000
S  0.7394  0.7394  0.0000
S  0.2606  0.2606  0.0000

Among the records above, which one has the lowest E? PrNi2Sn2